LiCo2CuO6 | Materials Project | PBE with a Hubbard U | optimized geometry; SG = Cm; formation energy = -1.2050 eV per atom; relative energy among the computed polymorphs = 0.000 eV per atom; crystal system = monoclinic
1.0
6.028 -2.788 -0.054
0.000 -1.470 2.404
-3.431 -3.987 -2.438
Co Li O Cu
2 1 6 1
direct
0.996 0.002 0.993 Co
0.677 0.661 0.659 Co
0.663 0.668 0.162 Li
0.696 0.152 0.889 O
0.991 0.504 0.208 O
0.378 0.811 0.573 O
0.299 0.851 0.124 O
0.662 0.169 0.435 O
0.979 0.510 0.774 O
0.325 0.337 0.349 Cu